# 1
The following is a PBE calculation of an optimized crystal structure of Li2Ti3O7, from the Materials Project.

Calculated values
size of the total moment	0.0	μB/f.u.
formation enthalpy at 0 K	-3.1815	eV per atom

abc: 7.846 3.795 9.330
angles: 90.00 99.26 90.00
Space group P2_1/m (No. 11)
One atom of each set of equivalent atoms:
Li (0.009, 0.250, 0.357) [2 per cell]
Li (0.198, 0.750, 0.085) [2 per cell]
Ti (0.225, 0.250, 0.831) [2 per cell]
Ti (0.343, 0.250, 0.524) [2 per cell]
Ti (0.456, 0.250, 0.222) [2 per cell]
O (0.011, 0.250, 0.847) [2 per cell]
O (0.144, 0.250, 0.601) [2 per cell]
O (0.260, 0.250, 0.329) [2 per cell]
O (0.292, 0.750, 0.826) [2 per cell]
O (0.319, 0.250, 0.048) [2 per cell]
O (0.409, 0.750, 0.552) [2 per cell]
O (0.492, 0.250, 0.750) [2 per cell]

# 2
The following is a PBE calculation of an optimized crystal structure of Ho2Ni2Pb, from the Materials Project.

Calculated values
formation enthalpy at 0 K	-0.5251	eV per atom

abc: 3.919 14.273 3.717
angles: 90.00 90.00 90.00
Space group Cmmm (No. 65)
One atom of each set of equivalent atoms:
Ho (0.000, 0.141, 0.000) [4 per cell]
Ni (0.000, 0.299, 0.500) [4 per cell]
Pb (0.000, 0.500, 0.500) [2 per cell]

# 3
The following is a PBE calculation of an optimized crystal structure of Li2Pt, from the Materials Project.

Calculated values
formation enthalpy at 0 K	-0.5422	eV per atom

abc: 4.1626 4.1626 2.7192
angles: 90.00 90.00 120.00
Space group P6/mmm (No. 191)
One atom of each set of equivalent atoms:
Li (0.3333, 0.6667, 0.0000) [2 per cell]
Pt (0.0000, 0.0000, 0.5000) [1 per cell]

# 4
The following is a PBE calculation of an optimized crystal structure of La4Mn3Sb8, from the Materials Project.

Calculated values
size of the total moment	12.4	μB/f.u.
formation enthalpy at 0 K	-0.7564	eV per atom

abc: 4.422 4.422 21.222
angles: 90.00 90.00 90.00
Space group P-4m2 (No. 115)
One atom of each set of equivalent atoms:
La (0.000, 0.500, 0.119) [2 per cell]
La (0.000, 0.500, 0.636) [2 per cell]
Mn (0.000, 0.000, 0.000) [1 per cell]
Mn (0.000, 0.000, 0.500) [1 per cell]
Mn (0.500, 0.500, 0.500) [1 per cell]
Sb (0.000, 0.000, 0.240) [2 per cell]
Sb (0.000, 0.500, 0.419) [2 per cell]
Sb (0.000, 0.500, 0.932) [2 per cell]
Sb (0.500, 0.500, 0.241) [2 per cell]

# 5
The following is a PBE calculation of an optimized crystal structure of SrMg6ZnO8, from the Materials Project.

Calculated values
formation enthalpy at 0 K	-2.7072	eV per atom

abc: 4.520 4.520 8.671
angles: 90.00 90.00 90.00
Space group P4/mmm (No. 123)
One atom of each set of equivalent atoms:
Sr (0.000, 0.000, 0.000) [1 per cell]
Mg (0.000, 0.500, 0.262) [4 per cell]
Mg (0.500, 0.500, 0.000) [1 per cell]
Mg (0.500, 0.500, 0.500) [1 per cell]
Zn (0.000, 0.000, 0.500) [1 per cell]
O (0.000, 0.000, 0.272) [2 per cell]
O (0.000, 0.500, 0.000) [2 per cell]
O (0.000, 0.500, 0.500) [2 per cell]
O (0.500, 0.500, 0.252) [2 per cell]

# 6
The following is a PBE calculation of an optimized crystal structure of Li2SnP2O7, from the Materials Project.

Calculated values
size of the total moment	0.0	μB/f.u.
formation enthalpy at 0 K	-2.5313	eV per atom

abc: 10.277 10.446 12.030
angles: 75.13 89.96 89.87
Space group P-1 (No. 2)
One atom of each set of equivalent atoms:
Li (0.082, 0.178, 0.436) [2 per cell]
Li (0.097, 0.142, 0.961) [2 per cell]
Li (0.111, 0.570, 0.974) [2 per cell]
Li (0.231, 0.913, 0.423) [2 per cell]
Li (0.270, 0.412, 0.423) [2 per cell]
Li (0.389, 0.070, 0.973) [2 per cell]
Li (0.402, 0.640, 0.961) [2 per cell]
Li (0.418, 0.678, 0.436) [2 per cell]
Sn (0.099, 0.296, 0.670) [2 per cell]
Sn (0.224, 0.757, 0.170) [2 per cell]
Sn (0.276, 0.257, 0.170) [2 per cell]
Sn (0.401, 0.797, 0.670) [2 per cell]
P (0.034, 0.031, 0.229) [2 per cell]
P (0.047, 0.448, 0.253) [2 per cell]
P (0.147, 0.627, 0.550) [2 per cell]
P (0.197, 0.866, 0.906) [2 per cell]
P (0.302, 0.366, 0.906) [2 per cell]
P (0.353, 0.127, 0.550) [2 per cell]
P (0.453, 0.948, 0.253) [2 per cell]
P (0.467, 0.531, 0.229) [2 per cell]
O (0.015, 0.889, 0.215) [2 per cell]
O (0.032, 0.438, 0.129) [2 per cell]
O (0.054, 0.736, 0.482) [2 per cell]
O (0.081, 0.038, 0.348) [2 per cell]
O (0.083, 0.590, 0.258) [2 per cell]
O (0.096, 0.584, 0.685) [2 per cell]
O (0.109, 0.899, 0.788) [2 per cell]
O (0.117, 0.762, 0.997) [2 per cell]
O (0.122, 0.109, 0.131) [2 per cell]
O (0.141, 0.346, 0.326) [2 per cell]
O (0.154, 0.500, 0.509) [2 per cell]
O (0.177, 0.304, 0.876) [2 per cell]
O (0.216, 0.993, 0.945) [2 per cell]
O (0.217, 0.185, 0.554) [2 per cell]
O (0.283, 0.686, 0.554) [2 per cell]
O (0.284, 0.492, 0.945) [2 per cell]
O (0.322, 0.804, 0.877) [2 per cell]
O (0.347, 0.001, 0.510) [2 per cell]
O (0.359, 0.847, 0.326) [2 per cell]
O (0.379, 0.609, 0.130) [2 per cell]
O (0.382, 0.260, 0.997) [2 per cell]
O (0.390, 0.399, 0.788) [2 per cell]
O (0.404, 0.084, 0.685) [2 per cell]
O (0.417, 0.091, 0.259) [2 per cell]
O (0.419, 0.538, 0.348) [2 per cell]
O (0.445, 0.236, 0.482) [2 per cell]
O (0.468, 0.939, 0.129) [2 per cell]
O (0.486, 0.389, 0.214) [2 per cell]

# 7
The following is a PBE calculation of an optimized crystal structure of Sm3Co2Ge4, from the Materials Project.

Calculated values
formation enthalpy at 0 K	-0.6994	eV per atom

abc: 10.945 4.189 8.151
angles: 90.00 107.71 90.00
Space group C2/m (No. 12)
One atom of each set of equivalent atoms:
Sm (0.000, 0.000, 0.000) [2 per cell]
Sm (0.119, 0.500, 0.692) [4 per cell]
Co (0.195, 0.500, 0.373) [4 per cell]
Ge (0.105, 0.000, 0.399) [4 per cell]
Ge (0.211, 0.500, 0.083) [4 per cell]

# 8
The following is a PBE calculation of an optimized crystal structure of P3Pb5ClO12, from the Materials Project.

Calculated values
size of the total moment	0.0	μB/f.u.
formation enthalpy at 0 K	-2.2683	eV per atom

abc: 10.2343 10.2343 7.3572
angles: 90.00 90.00 120.00
Space group P6_3/m (No. 176)
One atom of each set of equivalent atoms:
P (0.0349, 0.4131, 0.2500) [6 per cell]
Pb (0.0196, 0.7578, 0.2500) [6 per cell]
Pb (0.3333, 0.6667, 0.5061) [4 per cell]
Cl (0.0000, 0.0000, 0.0000) [2 per cell]
O (0.0895, 0.3626, 0.0793) [12 per cell]
O (0.1233, 0.5916, 0.2500) [6 per cell]
O (0.1370, 0.6487, 0.7500) [6 per cell]

What did the fifth record say?
The following is a PBE calculation of an optimized crystal structure of SrMg6ZnO8, from the Materials Project.

Calculated values
formation enthalpy at 0 K	-2.7072	eV per atom

abc: 4.520 4.520 8.671
angles: 90.00 90.00 90.00
Space group P4/mmm (No. 123)
One atom of each set of equivalent atoms:
Sr (0.000, 0.000, 0.000) [1 per cell]
Mg (0.000, 0.500, 0.262) [4 per cell]
Mg (0.500, 0.500, 0.000) [1 per cell]
Mg (0.500, 0.500, 0.500) [1 per cell]
Zn (0.000, 0.000, 0.500) [1 per cell]
O (0.000, 0.000, 0.272) [2 per cell]
O (0.000, 0.500, 0.000) [2 per cell]
O (0.000, 0.500, 0.500) [2 per cell]
O (0.500, 0.500, 0.252) [2 per cell]

> Among the records above, which one has the lowest formation enthalpy at 0 K?

Li2Ti3O7

> Among the records above, which one has the highest formation enthalpy at 0 K?

Ho2Ni2Pb